120
Lattice="-5.2738 -4.2956 -5.9172 8.7687 -1.9153 0.4432 -4.1279 -15.8712 15.2009" Properties=species:S:1:pos:R:3 comment="Na9Mg5NbSi3S6O36, relaxed, DFT PBE-GGA" ef_ev_per_atom=-2.470 magnetic_moment_mub_per_fu=0.00 sg="No. 9" pbc="T T T"
Na -4.3474 -6.5863 -0.1379
Na 0.0430 -6.2507 1.7134
Na -0.5350 -9.4240 -1.8797
Na -0.8098 -15.9022 7.7282
Na -5.1553 -16.7394 5.7970
Na -4.9324 -13.3173 9.1219
Na -1.0225 -11.0801 7.1273
Na 2.4449 -2.0013 1.1015
Na -3.0700 -19.8767 8.4758
Na -7.1394 -17.6302 9.6260
Na -3.0268 -8.0259 4.3241
Na 0.3931 -10.8014 2.4452
Na -1.9384 -7.9675 7.6079
Na 0.0517 -0.0921 -0.0754
Na -4.0841 -16.7484 8.7565
Na -1.8864 -8.7039 1.3061
Na 3.5450 -5.3447 0.6366
Na 1.5455 -13.2278 8.3094
Mg -1.4599 -5.6093 5.2368
Mg -8.6928 -17.7553 7.0376
Mg 0.6985 -16.4153 4.5314
Mg 2.6817 -8.5455 -3.1596
Mg -3.4616 -14.3947 6.5216
Mg -1.2859 -6.3681 -0.9534
Mg -4.6433 -19.1193 11.1369
Mg -2.5691 -11.1754 3.5479
Mg 3.9605 -2.9756 -1.4030
Mg 1.9222 -10.8904 6.2261
Nb 2.7120 -7.7237 3.0514
Nb 0.7545 -15.5726 10.7712
Si -2.5713 -5.2581 2.0659
Si 1.4163 -8.4497 -0.1008
Si -2.1030 -17.5708 5.8667
Si -6.8045 -14.9606 7.2324
Si -0.8329 -15.4944 13.9981
Si -0.3104 -8.8144 4.6681
S 1.5307 -4.5137 3.9114
S -2.0681 -13.6996 9.7896
S -4.5618 -14.0408 3.3207
S -4.0222 -10.9078 6.6754
S -0.4120 -13.3219 5.1890
S 0.1019 -6.6488 -4.1506
S -3.5247 -4.2481 -2.6826
S 0.6275 -3.5595 -0.7731
S -1.2600 -18.5233 10.5761
S 2.8616 -17.8483 12.4217
S 3.3783 -11.1730 3.0853
S 3.8708 -8.0896 6.4168
O -2.0949 -5.9918 3.4215
O 1.3181 -10.0092 0.2959
O -4.7434 -9.3291 -1.0798
O -2.8052 -14.0048 11.0111
O -1.5693 -18.6156 6.9724
O -7.2860 -16.4746 7.5132
O 1.3200 -16.2138 6.3635
O -1.8644 -12.2593 9.5503
O 4.1944 -12.9363 10.5981
O 2.4610 -8.0937 -1.2629
O 0.9760 -3.6913 2.8210
O 6.6325 -5.6321 2.4079
O -4.2345 -14.6158 4.6479
O -4.0598 -12.3715 6.9476
O -1.4550 -13.8634 6.1037
O -0.6279 -6.9351 -2.8844
O -2.9296 -5.1965 -1.7005
O 0.0322 -4.8860 -0.4810
O 0.2226 -3.0698 -2.1061
O 0.1085 -5.1868 -4.4249
O -2.4667 -3.6774 -3.5649
O -3.3289 -10.6341 5.3840
O -1.0143 -12.3558 4.2314
O -3.9390 -12.7140 3.1407
O -0.7628 -19.0192 11.8652
O -0.7702 -17.0710 14.2459
O 1.7902 -18.3509 13.2744
O 2.6655 -11.3835 4.3404
O 0.3980 -9.8651 5.6404
O 3.3144 -9.4438 6.5236
O 3.5190 -7.5153 5.0598
O 3.4681 -9.6390 2.8414
O 0.9937 -8.2120 3.6802
O 0.0015 -15.2747 12.4831
O 2.2221 -16.9084 11.3595
O -0.6491 -17.1649 10.2993
O 5.3375 -8.2103 6.5384
O 2.6335 -11.7893 1.9867
O -1.0458 -7.6056 5.4449
O -2.3353 -14.9104 13.9143
O 3.8136 -17.0825 13.2270
O -0.8232 -19.4828 9.5422
O -6.0421 -13.9153 3.1472
O -3.2055 -10.2240 7.7242
O 0.2571 -14.3725 4.3914
O 1.5112 -7.0966 -4.1177
O -4.4535 -4.9860 -3.5922
O 0.2235 -2.5573 0.2611
O -5.1842 -14.9347 7.4339
O -2.7123 -14.3914 8.6594
O -2.9066 -16.3648 6.6117
O -0.0817 -7.8093 -0.1349
O -2.6928 -8.1210 -1.2350
O -2.2291 -6.2732 0.8333
O -2.7274 -18.3569 10.4989
O -5.1477 -18.9164 9.1142
O -5.2654 -16.9773 11.1623
O -3.9790 -9.6750 2.6894
O -1.2883 -9.5182 3.5283
O -1.8995 -11.4281 1.5116
O 2.1147 -3.7333 -0.6591
O 4.6146 -3.0821 0.7020
O 4.5425 -5.0895 -1.4953
O 3.3551 -12.3112 7.0886
O 0.5716 -12.6297 6.0819
O 1.1908 -10.7404 8.2204
O 4.4828 -7.0729 2.5057
O 2.1846 -7.6305 1.2416
O 2.2422 -5.6689 3.1845
O -0.6415 -14.2722 9.8652
O 1.9258 -14.0958 10.8673
O 1.3697 -15.8631 8.9289

105
Lattice="-0.9722 -8.8129 0.1908 5.3264 3.9927 5.8475 -17.6595 2.1717 14.5161" Properties=species:S:1:pos:R:3 comment="NaMgNb3Si3S3O24, relaxed, DFT PBE-GGA" ef_ev_per_atom=-2.632 magnetic_moment_mub_per_fu=0.00 sg="No. 1" pbc="T T T"
Na -18.4769 -6.6261 14.5955
Na -13.7168 -2.8390 14.3269
Na -4.8459 -3.7243 6.9873
Mg -10.7352 -2.8513 18.4394
Mg -16.0895 -2.5079 16.3393
Mg -7.3260 -3.3891 8.9969
Nb -6.2277 0.7246 5.2225
Nb -7.1600 -3.4456 15.3330
Nb 2.6635 4.2764 7.9443
Nb -11.1511 -3.0768 11.9880
Nb -2.1994 -4.2165 4.8898
Nb 2.8086 -0.1536 4.1652
Nb -6.0271 0.8828 11.5312
Nb -2.2419 0.3266 8.3439
Nb -11.0573 1.5936 15.7105
Si -4.7043 -2.0127 3.7019
Si -1.3357 -2.9364 7.9884
Si -3.8768 -7.1326 5.4470
Si -10.5032 -4.2517 15.2947
Si -8.7212 -0.7187 16.8799
Si -10.3374 -1.8774 8.7819
Si 0.9832 -5.7256 4.9754
Si -14.2594 3.1444 15.3730
Si -5.6709 -0.5975 8.3442
S -12.0137 0.2458 12.6257
S -9.4368 -5.7984 10.5572
S -7.6245 -2.1366 12.1959
S -1.8465 -5.5213 1.5825
S -0.0410 -1.8576 3.1950
S -13.2542 -0.8089 17.3096
S -11.4323 2.8646 18.9716
S -2.8777 -0.7497 11.7406
S -3.8708 3.1608 9.9445
O -5.4342 -0.9299 4.7064
O -1.9988 -3.5117 9.3377
O -5.5059 -7.1918 5.5886
O -13.4141 0.5281 12.7451
O -10.9914 -3.5616 16.6044
O -14.8120 -5.4197 12.1940
O -7.8068 -1.7205 15.9168
O -11.3795 0.7441 11.3681
O -7.8547 4.5924 14.9207
O 0.2417 -3.3462 7.8315
O -2.3584 0.9329 3.9385
O 1.5743 2.8236 8.5120
O -10.1187 -4.8712 11.5220
O -11.0229 -2.4510 10.1932
O -9.0850 -2.1669 12.3516
O -0.6313 -5.2821 5.1322
O -2.3545 -4.8475 2.8318
O -0.9604 -2.5537 4.1388
O 0.6350 -2.7433 2.2780
O 1.6112 -5.1093 3.6912
O -0.4044 -5.4445 1.4735
O -8.8456 -2.3063 8.6745
O -7.1179 -2.8355 11.0327
O -8.5448 -5.1094 9.6557
O -13.9892 0.1778 18.2156
O -14.7611 2.5725 16.9496
O -12.9419 2.6964 19.0739
O -4.3148 -0.3032 11.8459
O -6.1077 0.2084 9.7355
O -4.7633 2.4090 10.9154
O -3.1498 2.2091 9.0820
O -2.2894 -0.2220 10.4865
O -4.0420 -0.3003 8.2570
O -12.6844 2.5288 15.4490
O -10.9593 2.1733 17.7084
O -12.3110 -0.0470 16.4398
O -2.9021 3.9097 10.7828
O -2.9027 -2.2359 11.7244
O -6.3303 0.2451 7.0737
O -15.2194 2.3624 14.3800
O -11.1558 4.2918 18.9079
O -12.5443 -1.7100 18.2197
O -10.4411 -6.6193 9.8599
O -10.5973 -0.2488 8.8441
O -6.9734 -2.7441 13.4120
O 1.7994 -5.2052 6.3276
O -2.2520 -6.9736 1.6348
O -0.8159 -0.8430 2.4050
O -12.8451 -3.7754 11.8003
O -11.8506 -1.2708 12.6692
O -11.0262 -3.6270 13.8612
O -2.1542 -3.4654 6.6706
O -3.4761 -5.5427 5.4395
O -3.7624 -3.0161 4.5545
O -14.2135 -1.4853 16.4377
O -15.1197 -4.0838 15.5916
O -16.1252 -1.8090 14.2465
O -7.4101 -4.2602 7.0217
O -5.9317 -2.1580 8.2886
O -5.6556 -4.7572 9.3153
O 0.9406 -1.0877 4.0532
O 2.0287 1.4184 4.8913
O 2.7938 -0.8997 6.2727
O -5.8849 1.5370 13.3200
O -7.1989 -0.6832 12.1966
O -7.6546 2.0734 11.2544
O -0.5512 1.1927 8.7801
O -1.3897 -1.3101 7.9491
O -2.2304 1.0326 6.5861
O -11.1891 0.7565 13.7552
O -9.9071 2.9411 15.0747
O -9.5512 0.3718 15.9841

108
Lattice="-2.2206 6.2978 -5.7020 -5.9906 -3.0997 5.6223 6.0477 15.9065 15.2333" Properties=species:S:1:pos:R:3 comment="NaMgNbSiS2O12, relaxed, DFT PBE-GGA" ef_ev_per_atom=-2.467 magnetic_moment_mub_per_fu=0.00 sg="No. 9" pbc="T T T"
Na -5.1591 10.9001 7.4779
Na 5.8578 15.7401 15.1720
Na 1.5792 16.3797 10.5056
Na -1.4971 8.4469 2.8885
Na -3.6317 2.6051 4.1637
Na -0.8212 10.6415 11.7783
Mg -0.0901 11.8260 -0.2314
Mg 2.8809 19.7998 7.3847
Mg 0.7072 14.0640 8.5270
Mg -2.3877 6.1384 0.9097
Mg -4.5097 0.3750 2.1106
Mg -1.6483 8.3915 9.7256
Nb -4.1909 13.3632 9.8121
Nb 0.7237 2.3180 2.2724
Nb 2.4449 18.7277 12.9943
Nb -0.5885 10.7782 5.3776
Nb -2.9030 5.0215 6.6082
Nb 0.2353 12.9302 14.2259
Si -2.4427 9.3746 -0.1157
Si 2.9536 16.4038 7.5240
Si -1.5489 11.5509 8.6731
Si -2.4284 2.7625 1.0773
Si 3.2649 13.7796 15.8413
Si -4.5868 7.7067 8.1779
S 0.8820 5.8115 2.2117
S -4.3224 6.2950 3.7491
S 2.1899 12.8895 11.3995
S -1.9437 16.0431 9.7716
S -0.6194 14.2787 5.3239
S 2.4428 11.5206 7.0110
S -5.3605 5.4289 -0.6520
S -1.2117 5.3784 -2.2692
S 0.1571 16.4594 14.1835
S -0.8892 13.7366 17.4450
S -0.4579 7.5679 6.5903
S -1.5837 4.8761 9.8510
O 1.3196 6.0510 3.5701
O -4.7144 7.5234 4.4140
O -1.3859 10.5032 0.1006
O 3.2982 13.5336 12.0791
O -2.1269 16.5244 11.1240
O 2.9350 17.9512 7.7298
O -3.4246 13.0342 11.4487
O 2.5818 11.5913 10.7650
O -0.7891 8.7212 15.1008
O -5.4782 5.5995 3.0995
O -0.0907 2.6046 3.8937
O -5.0100 1.2341 7.4726
O -0.2121 14.5398 6.6815
O 2.0444 12.7741 7.6162
O -0.6035 12.7657 8.9415
O -4.2295 6.0867 -0.0319
O -1.3579 5.8551 -0.9169
O -2.3076 4.2984 1.3377
O -2.7709 2.4763 -0.5569
O -4.8915 4.1449 -1.3519
O -2.3122 4.4007 -2.6600
O 1.2409 10.8874 6.2948
O -1.4627 11.0978 7.0431
O -0.4636 12.8117 4.9452
O 0.4781 16.7079 15.5745
O 2.7024 15.0055 16.6308
O 0.0445 14.7923 17.7710
O -3.3568 8.2345 8.9848
O -0.5496 7.9772 7.9772
O -1.5628 6.2873 10.1681
O -1.8932 4.6306 8.3799
O -4.1036 6.2251 7.4433
O -1.5190 6.5441 6.2447
O 1.9194 13.0102 15.0890
O -0.8026 13.3368 15.9778
O 0.2519 14.9853 13.8492
O -2.5101 4.1213 10.6782
O -5.2197 8.7274 7.1425
O 0.8743 7.1025 6.2494
O 4.4387 14.0966 14.8235
O -0.7314 12.5595 18.2828
O -1.1330 17.0153 13.8173
O 0.3304 14.9842 4.3511
O 2.8414 10.5017 8.0452
O -3.1677 12.2141 8.7658
O -6.3606 4.9548 0.3687
O -1.4176 6.5340 -3.2531
O -0.7893 2.1568 1.2015
O 1.9763 15.5427 8.4215
O 1.5567 13.8041 10.4672
O -0.6082 15.5395 9.5213
O -3.2218 6.5343 2.8335
O -2.3205 8.0852 0.7925
O -0.4380 6.3422 1.9356
O 1.2011 17.0885 13.2572
O 1.5848 18.9267 11.2847
O 3.6735 17.3739 11.9478
O 0.2082 10.3318 3.6841
O -0.7856 8.7313 5.6506
O -2.3913 10.6050 4.3017
O -3.3301 1.9395 2.0836
O -3.8002 0.0139 4.0984
O -5.9012 1.6774 3.1095
O -2.4484 8.6184 11.6988
O -1.4584 10.3415 9.6890
O 0.2405 8.4163 10.7564
O -4.1096 3.3479 6.8611
O -3.8190 5.2754 4.7946
O -1.7733 3.7331 5.6842
O 1.1121 12.4858 12.4298
O -0.0123 10.8831 14.4881
O -1.4525 12.7392 13.2746